The following is a PBE-GGA calculation of Rb2Sn2H3N after structural relaxation, from the Materials Project database.

- M_tot (μB per cell) = 0.0
- ΔH_f (0 K) (eV/atom) = -0.36
- ρ (Mg/m³) = 3.3
- symmetry = P2_1/c (14)

Cell: 13.552 9.706 13.435 Å, 90.00 106.97 90.00°
Positions (direct):
Rb: 0.036 0.202 0.488
Rb: 0.036 0.298 0.988
Rb: 0.073 0.549 0.319
Rb: 0.073 0.951 0.819
Rb: 0.367 0.221 0.578
Rb: 0.367 0.279 0.078
Rb: 0.408 0.720 0.564
Rb: 0.408 0.780 0.064
Rb: 0.592 0.220 0.936
Rb: 0.592 0.280 0.436
Rb: 0.633 0.721 0.922
Rb: 0.633 0.779 0.422
Rb: 0.927 0.049 0.181
Rb: 0.927 0.451 0.681
Rb: 0.964 0.702 0.012
Rb: 0.964 0.798 0.512
Sn: 0.187 0.579 0.849
Sn: 0.187 0.921 0.349
Sn: 0.190 0.516 0.632
Sn: 0.190 0.984 0.132
Sn: 0.216 0.213 0.288
Sn: 0.216 0.287 0.788
Sn: 0.384 0.003 0.310
Sn: 0.384 0.497 0.810
Sn: 0.616 0.503 0.190
Sn: 0.616 0.997 0.690
Sn: 0.784 0.713 0.212
Sn: 0.784 0.787 0.712
Sn: 0.810 0.016 0.868
Sn: 0.810 0.484 0.368
Sn: 0.813 0.079 0.651
Sn: 0.813 0.421 0.151
H: 0.186 0.572 0.059
H: 0.186 0.928 0.559
H: 0.198 0.654 0.169
H: 0.198 0.846 0.669
H: 0.206 0.017 0.669
H: 0.206 0.483 0.169
H: 0.371 0.001 0.860
H: 0.371 0.499 0.360
H: 0.375 0.663 0.329
H: 0.375 0.837 0.829
H: 0.461 0.554 0.312
H: 0.461 0.946 0.812
H: 0.539 0.054 0.188
H: 0.539 0.446 0.688
H: 0.625 0.163 0.171
H: 0.625 0.337 0.671
H: 0.629 0.501 0.640
H: 0.629 0.999 0.140
H: 0.794 0.517 0.831
H: 0.794 0.983 0.331
H: 0.802 0.154 0.331
H: 0.802 0.346 0.831
H: 0.814 0.072 0.441
H: 0.814 0.428 0.941
N: 0.167 0.567 0.129
N: 0.167 0.933 0.629
N: 0.420 0.580 0.363
N: 0.420 0.920 0.863
N: 0.580 0.080 0.137
N: 0.580 0.420 0.637
N: 0.833 0.067 0.371
N: 0.833 0.433 0.871